K2MoS2O2 | PBE+U | relaxed

Cell and atoms, written as POSCAR:
```
K2MoS2O2
1.0
3.585 5.772 0.000
-3.585 5.772 0.000
0.000 5.413 8.470
K S O Mo
4 4 4 2
direct
0.340 0.231 0.834
0.660 0.769 0.166
0.769 0.660 0.666
0.231 0.340 0.334
0.757 0.275 0.061
0.243 0.725 0.939
0.275 0.757 0.561
0.725 0.243 0.439
0.783 0.915 0.832
0.915 0.783 0.332
0.217 0.085 0.168
0.085 0.217 0.668
0.925 0.075 0.250
0.075 0.925 0.750
```

Summary:
* E (MP2020): -6.051 eV per atom
* energy above the most stable polymorph in this dataset: 0 meV per atom
* ΔH_f (0 K): -1.589 eV per atom
* uncorrected energy: -36.77 eV per formula unit